Mg14NiCO16: relaxed, PBE+U.

Cell: 4.2316 8.4923 8.4966 Å, 90.00 90.00 90.00°
Space group Pmmm (No. 47)
One atom of each set of equivalent atoms:
Mg1 0.0000 0.0000 0.0000 x1
Mg2 0.0000 0.2486 0.2528 x4
Mg3 0.0000 0.5000 0.0000 x1
Mg4 0.5000 0.0000 0.2535 x2
Mg5 0.5000 0.2479 0.5000 x2
Mg6 0.5000 0.2500 0.0000 x2
Mg7 0.5000 0.5000 0.2515 x2
Ni1 0.0000 0.5000 0.5000 x1
C1 0.0000 0.0000 0.5000 x1
O1 0.0000 0.0000 0.2493 x2
O2 0.0000 0.2497 0.0000 x2
O3 0.0000 0.2500 0.5000 x2
O4 0.0000 0.5000 0.2502 x2
O5 0.5000 0.0000 0.0000 x1
O6 0.5000 0.0000 0.5000 x1
O7 0.5000 0.2493 0.2515 x4
O8 0.5000 0.5000 0.0000 x1
O9 0.5000 0.5000 0.5000 x1

As for the crystal system: orthorhombic. For the formation energy, the calculation gives -83.62 eV per formula unit. The energy with MP2020 corrections comes out at -6.2561 eV per atom.